Entry w
The following is a DFT calculation (PBE-GGA) of crystalline Mg7Si4 at its relaxed geometry.

Lattice parameters (Å, degrees): 5.3429 6.1528 13.9252 96.56 96.58 97.98
Atoms (fractional coordinates):
Mg  0.5233  0.7485  0.1047
Mg  0.0652  0.7964  0.4917
Mg  0.3667  0.5109  0.6644
Mg  0.9750  0.2523  0.4203
Mg  0.8609  0.2645  0.7595
Mg  0.2784  0.8275  0.8673
Mg  0.5889  0.0475  0.5580
Mg  0.9705  0.5357  0.0041
Mg  0.5148  0.5400  0.4471
Mg  0.3964  0.3438  0.8818
Mg  0.1983  0.5377  0.2591
Mg  0.3644  0.2182  0.0837
Mg  0.4017  0.0333  0.3275
Mg  0.8275  0.0390  0.9526
Si  0.8746  0.2224  0.1364
Si  0.8035  0.7998  0.3029
Si  0.2907  0.0523  0.7056
Si  0.7530  0.6646  0.8330
Si  0.8807  0.8248  0.6905
Si  0.6764  0.4006  0.2665
Si  0.8527  0.4690  0.5912
Si  0.0364  0.8785  0.1559

* space group: P1, No. 1
* crystal system: triclinic


Entry x
The following is a DFT calculation (PBE-GGA) of crystalline Mg7Si4 at its relaxed geometry.

Lattice parameters (Å, degrees): 5.4530 6.2070 13.5597 102.87 95.88 89.96
Atoms (fractional coordinates):
Mg  0.3642  0.2031  0.2343
Mg  0.5035  0.5573  0.9183
Mg  0.2381  0.6993  0.2379
Mg  0.4812  0.0845  0.9695
Mg  0.0097  0.7228  0.8096
Mg  0.7456  0.9024  0.6088
Mg  0.0086  0.3511  0.9873
Mg  0.1810  0.2010  0.7570
Mg  0.7349  0.2703  0.4356
Mg  0.0231  0.8765  0.0458
Mg  0.7190  0.7588  0.3803
Mg  0.2461  0.5268  0.4352
Mg  0.5684  0.4124  0.6544
Mg  0.2494  0.0405  0.4758
Si  0.8695  0.0023  0.2479
Si  0.0466  0.4335  0.6057
Si  0.5095  0.8205  0.7821
Si  0.8977  0.3902  0.2568
Si  0.7057  0.1771  0.8033
Si  0.2401  0.7942  0.6259
Si  0.5487  0.8336  0.1139
Si  0.6096  0.4530  0.1183

* space group: P1, No. 1
* crystal system: triclinic


entry x is favored, and the nearest alternative lies 39 meV/atom above it.


Entry w
The following is a DFT calculation (PBE-GGA) of crystalline Cs3YO3 at its relaxed geometry.

Lattice parameters (Å, degrees): 7.6335 7.6335 7.6857 84.24 84.24 116.54
Atoms (fractional coordinates):
Cs  0.7379  0.2621  0.0000
Cs  0.7887  0.2113  0.5000
Cs  0.2621  0.7379  0.0000
Cs  0.6427  0.6427  0.6492
Cs  0.2113  0.7887  0.5000
Cs  0.3573  0.3573  0.3508
Y  0.1740  0.1740  0.8499
Y  0.8260  0.8260  0.1501
O  0.4375  0.1681  0.7357
O  0.5625  0.8319  0.2643
O  0.8319  0.5625  0.2643
O  0.8990  0.8990  0.8570
O  0.1681  0.4375  0.7357
O  0.1010  0.1010  0.1430

* space group: C2/m, No. 12
* crystal system: monoclinic


Entry x
The following is a DFT calculation (PBE-GGA) of crystalline Cs3YO3 at its relaxed geometry.

Lattice parameters (Å, degrees): 7.6353 8.3936 12.2376 84.52 90.00 90.00
Atoms (fractional coordinates):
O  0.5562  0.8987  0.4110
O  0.9437  0.7011  0.1923
O  0.0562  0.1013  0.0890
O  0.4437  0.2989  0.3077
O  0.4438  0.1013  0.5890
O  0.8448  0.2461  0.4562
O  0.5563  0.7011  0.6923
O  0.3448  0.7539  0.0438
O  0.6552  0.2461  0.9562
O  0.0563  0.2989  0.8077
O  0.9438  0.8987  0.9110
O  0.1552  0.7539  0.5438
Cs  0.3209  0.6188  0.3058
Cs  0.1791  0.6188  0.8058
Cs  0.8209  0.3812  0.1942
Cs  0.1608  0.3486  0.5755
Cs  0.6791  0.3812  0.6942
Cs  0.6608  0.6514  0.9245
Cs  0.8822  0.9442  0.6558
Cs  0.3822  0.0558  0.8442
Cs  0.8392  0.6514  0.4245
Cs  0.6178  0.9442  0.1558
Cs  0.3392  0.3486  0.0755
Cs  0.1178  0.0558  0.3442
Y  0.9145  0.1579  0.9323
Y  0.4145  0.8421  0.5677
Y  0.0855  0.8421  0.0677
Y  0.5855  0.1579  0.4323

* space group: P2_1/c, No. 14
* crystal system: monoclinic


entry x is favored, and the nearest alternative lies 10 meV/atom above it.